Record 1
BiI3O11: relaxed, PBE.

## Properties
* calculated formation energy: -587.6 meV/atom
* SG: P-1 (2)

Unit cell a=7.145 b=7.501 c=10.849 alpha=94.67 beta=106.40 gamma=109.75
Positions (direct):
O: 0.733 0.559 0.261
I: 0.815 0.861 0.074
I: 0.767 0.725 0.546
O: 0.604 0.857 0.142
O: 0.708 0.124 0.770
O: 0.267 0.441 0.739
O: 0.402 0.199 0.586
O: 0.118 0.892 0.957
I: 0.779 0.362 0.174
O: 0.570 0.627 0.628
O: 0.065 0.042 0.350
O: 0.761 0.218 0.400
I: 0.233 0.275 0.454
O: 0.430 0.373 0.372
O: 0.598 0.801 0.414
O: 0.882 0.108 0.043
O: 0.396 0.143 0.858
O: 0.203 0.524 0.968
O: 0.363 0.269 0.093
I: 0.221 0.638 0.826
O: 0.935 0.958 0.650
I: 0.185 0.139 0.926
O: 0.637 0.731 0.907
Bi: 0.400 0.587 0.215
O: 0.938 0.548 0.729
Bi: 0.600 0.413 0.785
O: 0.797 0.476 0.032
O: 0.062 0.452 0.271
O: 0.292 0.876 0.230
O: 0.239 0.782 0.600

***

Record 2
Rb5Sb4: relaxed, PBE.

## Properties
* calculated formation energy: -494.1 meV/atom
* SG: Cm (8)

Unit cell a=7.160 b=7.160 c=11.751 alpha=69.36 beta=69.36 gamma=47.66
Positions (direct):
Rb: 0.605 0.605 0.100
Sb: 0.956 0.956 0.319
Sb: 0.899 0.899 0.109
Rb: 0.395 0.395 0.896
Rb: 0.750 0.750 0.666
Sb: 0.100 0.100 0.890
Sb: 0.042 0.042 0.683
Rb: 0.260 0.260 0.332
Rb: 0.528 0.528 0.484